DFT (PBE) results for NaEuZrSnO6 after structural relaxation.

The structure in POSCAR format:
```
NaEuZrSnO6
1.0
0.000 4.124 4.124
4.124 0.000 4.124
4.124 4.124 0.000
Na Eu Zr Sn O
1 1 1 1 6
Direct
0.000 0.000 0.000 Na
0.500 0.500 0.500 Eu
0.750 0.750 0.750 Zr
0.250 0.250 0.250 Sn
0.002 0.002 0.498 O
0.002 0.498 0.002 O
0.002 0.498 0.498 O
0.498 0.002 0.002 O
0.498 0.002 0.498 O
0.498 0.498 0.002 O
```

energy of formation = -2731 meV/atom